46
Lattice="2.776 7.395 0.000 -2.776 7.395 0.000 0.000 3.905 16.852" Properties=species:S:1:pos:R:3 comment="Bi6P2O15, relaxed, DFT PBE-GGA" crystal_system=monoclinic final_energy_ev_per_atom=-6.18 de_polymorph_mev_per_atom=28 delta_e_f_mev_per_atom=-1912 pbc="T T T"
O -0.360 7.559 2.733
P 0.996 10.903 1.592
Bi -1.698 8.784 1.397
O -0.342 10.607 2.295
O -0.342 8.088 14.557
O 0.529 13.379 12.534
O 1.128 8.470 16.610
O -2.165 9.061 11.883
Bi 0.974 5.716 6.428
O 0.434 9.021 10.052
O 2.432 7.395 0.000
O -0.267 7.395 0.000
O -0.139 7.057 8.504
O -2.165 9.634 4.969
Bi -1.706 8.607 6.808
O -0.611 3.039 2.529
O 2.470 7.646 2.795
Bi 1.079 6.231 1.451
O -0.475 3.968 11.206
Bi 0.974 12.979 10.424
Bi 1.079 12.464 15.401
O -1.663 5.064 1.488
P 0.755 7.535 9.686
O -0.360 11.136 14.119
O 1.128 10.225 0.243
Bi 1.363 9.737 12.569
O 0.529 5.315 4.318
O -0.139 11.638 8.348
O -0.548 11.451 11.200
O -0.548 7.244 5.653
O 2.470 11.049 14.058
O 0.399 12.025 5.924
Bi -1.698 9.911 15.456
P 0.996 7.791 15.261
O -0.508 3.883 7.484
P 0.755 11.160 7.166
O -0.611 15.656 14.323
O 0.434 9.674 6.800
O -1.663 13.630 15.364
Bi -1.706 10.088 10.044
O -0.508 14.811 9.368
O -0.475 14.727 5.647
O 0.399 6.670 10.928
Bi -1.552 6.143 4.015
Bi 1.363 8.957 4.284
Bi -1.552 12.552 12.837